Below is a geometry-optimized Cu2SnSe3 structure, with properties calculated at the GGA-PBE level.

Unit cell a=7.0688 b=7.0688 c=26.8293 alpha=87.55 beta=87.55 gamma=120.01
With the nearest neighbours (Å) after each atom.
Atoms (fractional coordinates):
Cu 0.6826 0.8549 0.9855  4 Se 2.42-2.46
Cu 0.8549 0.6826 0.4855  4 Se 2.42-2.46
Cu 0.0252 0.5171 0.9853  4 Se 2.42-2.47
Cu 0.5171 0.0252 0.4853  4 Se 2.42-2.47
Cu 0.3736 0.8834 0.8605  4 Se 2.42-2.46
Cu 0.8834 0.3736 0.3605  4 Se 2.42-2.46
Cu 0.0624 0.2254 0.8600  4 Se 2.42-2.47
Cu 0.2254 0.0624 0.3600  4 Se 2.42-2.47
Cu 0.1001 0.9186 0.7355  4 Se 2.42-2.47
Cu 0.9186 0.1001 0.2355  4 Se 2.42-2.47
Cu 0.4197 0.5836 0.7353  4 Se 2.42-2.46
Cu 0.5836 0.4197 0.2353  4 Se 2.42-2.46
Cu 0.1266 0.6351 0.6098  4 Se 2.42-2.46
Cu 0.6351 0.1266 0.1098  4 Se 2.42-2.46
Cu 0.4725 0.2927 0.6104  4 Se 2.42-2.47
Cu 0.2927 0.4725 0.1104  4 Se 2.42-2.47
Sn 0.3304 0.1664 0.9808  4 Se 2.61-2.70
Sn 0.1664 0.3304 0.4808  4 Se 2.61-2.70
Sn 0.7170 0.5696 0.8563  4 Se 2.61-2.70
Sn 0.5696 0.7170 0.3563  4 Se 2.61-2.70
Sn 0.7586 0.2739 0.7308  4 Se 2.61-2.70
Sn 0.2739 0.7586 0.2308  4 Se 2.61-2.70
Sn 0.7853 0.9518 0.6063  4 Se 2.60-2.70
Sn 0.9518 0.7853 0.1063  4 Se 2.60-2.70
Se 0.1644 0.3291 0.5814  2 Cu 2.46-2.47, 2 Sn 2.70
Se 0.3291 0.1644 0.0814  2 Cu 2.46-2.47, 2 Sn 2.70
Se 0.7106 0.5437 0.9568  2 Cu 2.46-2.47, 2 Sn 2.69-2.70
Se 0.5437 0.7106 0.4568  2 Cu 2.46-2.47, 2 Sn 2.69-2.70
Se 0.7694 0.9126 0.7068  2 Cu 2.46-2.47, 2 Sn 2.69-2.70
Se 0.9126 0.7694 0.2068  2 Cu 2.46-2.47, 2 Sn 2.69-2.70
Se 0.1286 0.6240 0.7001  3 Cu 2.42-2.44, 1 Sn 2.61
Se 0.6240 0.1286 0.2001  3 Cu 2.42-2.44, 1 Sn 2.61
Se 0.4093 0.2668 0.7009  3 Cu 2.43-2.44, 1 Sn 2.61
Se 0.2668 0.4093 0.2009  3 Cu 2.43-2.44, 1 Sn 2.61
Se 0.7268 0.2085 0.8313  2 Cu 2.46-2.47, 2 Sn 2.70
Se 0.2085 0.7268 0.3313  2 Cu 2.46-2.47, 2 Sn 2.70
Se 0.0833 0.9229 0.8257  3 Cu 2.42-2.43, 1 Sn 2.61
Se 0.9229 0.0833 0.3257  3 Cu 2.42-2.43, 1 Sn 2.61
Se 0.3607 0.8358 0.9508  3 Cu 2.42-2.44, 1 Sn 2.61
Se 0.8358 0.3607 0.4508  3 Cu 2.42-2.44, 1 Sn 2.61
Se 0.4505 0.9727 0.5755  3 Cu 2.42-2.44, 1 Sn 2.61
Se 0.9727 0.4505 0.0755  3 Cu 2.42-2.44, 1 Sn 2.61
Se 0.3716 0.5695 0.8257  3 Cu 2.42-2.44, 1 Sn 2.61
Se 0.5695 0.3716 0.3257  3 Cu 2.42-2.44, 1 Sn 2.61
Se 0.9987 0.1934 0.9504  3 Cu 2.43, 1 Sn 2.61
Se 0.1934 0.9987 0.4504  3 Cu 2.43, 1 Sn 2.61
Se 0.8069 0.6179 0.5757  3 Cu 2.42-2.44, 1 Sn 2.60
Se 0.6179 0.8069 0.0757  3 Cu 2.42-2.44, 1 Sn 2.60

The value obtained for the formation energy is -0.516 eV/atom. The calculated volume is 1156.7 Å³ per cell. As for the total energy: -4.0621 eV/atom. The space group is Cc, No. 9.

=====

Below is a geometry-optimized RbMg6AlO8 structure, with properties calculated at the GGA-PBE level.

Unit cell a=8.6793 b=4.5398 c=4.5398 alpha=90.00 beta=90.00 gamma=90.00
With the nearest neighbours (Å) after each atom.
Atoms (fractional coordinates):
Rb 0.0000 0.5000 0.5000  6 O 2.27-2.44
Mg 0.5000 0.0000 0.0000  6 O 2.27-2.41
Mg 0.5000 0.5000 0.5000  2 O 1.90
Mg 0.2509 0.0000 0.5000  6 O 2.16-2.29
Mg 0.7491 0.0000 0.5000  6 O 2.16-2.29
Mg 0.2509 0.5000 0.0000  6 O 2.16-2.29
Mg 0.7491 0.5000 0.0000  6 O 2.16-2.29
Al 0.0000 0.0000 0.0000  2 O 1.93
O 0.2218 0.0000 0.0000  1 Al 1.93
O 0.7782 0.0000 0.0000  1 Al 1.93
O 0.2816 0.5000 0.5000  1 Mg 1.90
O 0.7184 0.5000 0.5000  1 Mg 1.90
O 0.0000 0.0000 0.5000  2 Mg 2.18, 2 Rb 2.27, 2 Al 2.27
O 0.5000 0.0000 0.5000  6 Mg 2.16-2.27
O 0.0000 0.5000 0.0000  2 Mg 2.18, 2 Rb 2.27, 2 Al 2.27
O 0.5000 0.5000 0.0000  6 Mg 2.16-2.27

The value obtained for the formation energy is -2.464 eV/atom. The calculated volume is 178.9 Å³ per cell. As for the total energy: -5.4902 eV/atom. The space group is P4/mmm, No. 123.

=====

Below is a geometry-optimized MgCd structure, with properties calculated at the GGA-PBE level.

Unit cell a=5.9406 b=5.9406 c=5.3077 alpha=65.27 beta=65.27 gamma=31.40
With the nearest neighbours (Å) after each atom.
Atoms (fractional coordinates):
Mg 0.8760 0.8760 0.7930  7 Cd 3.08-3.13, 5 Mg 3.17-3.22
Mg 0.1240 0.1240 0.2070  7 Cd 3.08-3.13, 5 Mg 3.17-3.22
Cd 0.6244 0.6244 0.7114  7 Mg 3.08-3.13, 5 Cd 3.15-3.22
Cd 0.3756 0.3756 0.2886  7 Mg 3.08-3.13, 5 Cd 3.15-3.22

The value obtained for the formation energy is -0.064 eV/atom. The calculated volume is 87.9 Å³ per cell. As for the total energy: -1.3254 eV/atom. The space group is C2/m, No. 12.

=====

Below is a geometry-optimized Si2O5 structure, with properties calculated at the GGA-PBE level.

Unit cell a=7.5586 b=7.5586 c=7.5586 alpha=139.72 beta=129.57 gamma=66.43
With the nearest neighbours (Å) after each atom.
Atoms (fractional coordinates):
Si 0.5064 0.5736 0.8506  4 O 1.61-1.66
Si 0.4936 0.3442 0.0671  4 O 1.61-1.66
Si 0.7770 0.8442 0.8506  4 O 1.61-1.66
Si 0.2230 0.0736 0.0671  4 O 1.61-1.66
O 0.5000 0.4824 0.9824  2 Si 1.61
O 0.0000 0.9824 0.9824  2 Si 1.61
O 0.4108 0.3136 0.4630  2 Si 1.62
O 0.5892 0.0521 0.9028  2 Si 1.62
O 0.6494 0.5521 0.4630  2 Si 1.62
O 0.3506 0.8136 0.9028  2 Si 1.62
O 0.7906 0.6838 0.0898  1 O 1.46
O 0.2094 0.2993 0.8932  1 O 1.46
O 0.9060 0.7993 0.0898  1 O 1.46
O 0.0940 0.1838 0.8932  1 O 1.46

The value obtained for the formation energy is -2.227 eV/atom. The calculated volume is 212.0 Å³ per cell. As for the total energy: -7.1967 eV/atom. The space group is Ima2, No. 46.

=====

Below is a geometry-optimized Si2H2O3 structure, with properties calculated at the GGA-PBE level.

Unit cell a=7.5222 b=7.5222 c=7.5222 alpha=77.96 beta=77.96 gamma=77.96
With the nearest neighbours (Å) after each atom.
Atoms (fractional coordinates):
Si 0.7662 0.6582 0.2515  1 H 1.47, 3 O 1.64
Si 0.2515 0.7662 0.6582  1 H 1.47, 3 O 1.64
Si 0.6582 0.2515 0.7662  1 H 1.47, 3 O 1.64
Si 0.2338 0.3418 0.7485  1 H 1.47, 3 O 1.64
Si 0.7485 0.2338 0.3418  1 H 1.47, 3 O 1.64
Si 0.3418 0.7485 0.2338  1 H 1.47, 3 O 1.64
Si 0.6759 0.6759 0.6759  1 H 1.47, 3 O 1.64
Si 0.3241 0.3241 0.3241  1 H 1.47, 3 O 1.64
H 0.9093 0.7437 0.1169  1 Si 1.47
H 0.1169 0.9093 0.7437  1 Si 1.47
H 0.7437 0.1169 0.9093  1 Si 1.47
H 0.0907 0.2563 0.8831  1 Si 1.47
H 0.8831 0.0907 0.2563  1 Si 1.47
H 0.2563 0.8831 0.0907  1 Si 1.47
H 0.7707 0.7707 0.7707  1 Si 1.47
H 0.2293 0.2293 0.2293  1 Si 1.47
O 0.3013 0.5432 0.2312  2 Si 1.64
O 0.5432 0.2312 0.3013  2 Si 1.64
O 0.2312 0.3013 0.5432  2 Si 1.64
O 0.6987 0.4568 0.7688  2 Si 1.64
O 0.4568 0.7688 0.6987  2 Si 1.64
O 0.7688 0.6987 0.4568  2 Si 1.64
O 0.2531 0.8084 0.4353  2 Si 1.64
O 0.8084 0.4353 0.2531  2 Si 1.64
O 0.4353 0.2531 0.8084  2 Si 1.64
O 0.7469 0.1916 0.5647  2 Si 1.64
O 0.1916 0.5647 0.7469  2 Si 1.64
O 0.5647 0.7469 0.1916  2 Si 1.64

The value obtained for the formation energy is -2.074 eV/atom. The calculated volume is 401.0 Å³ per cell. As for the total energy: -6.4199 eV/atom. The space group is R-3, No. 148.

=====

Below is a geometry-optimized La18In3Co28 structure, with properties calculated at the GGA-PBE level.

Unit cell a=11.2192 b=11.2192 c=11.2192 alpha=100.42 beta=100.42 gamma=129.66
With the nearest neighbours (Å) after each atom.
Atoms (fractional coordinates):
La 0.5000 0.0000 0.5000  16 Co 3.00-3.22
La 0.0000 0.5000 0.5000  16 Co 3.00-3.22
La 0.7627 0.0000 0.7627  6 Co 2.90-3.08
La 0.2373 0.0000 0.2373  6 Co 2.90-3.08
La 0.0000 0.7627 0.7627  6 Co 2.90-3.08
La 0.0000 0.2373 0.2373  6 Co 2.90-3.08
La 0.0957 0.0957 0.6693  6 Co 2.93-2.97
La 0.4263 0.4263 0.3307  6 Co 2.93-2.97
La 0.4263 0.0957 0.0000  6 Co 2.93-2.97
La 0.0957 0.4263 0.0000  6 Co 2.93-2.97
La 0.9043 0.9043 0.3307  6 Co 2.93-2.97
La 0.5737 0.5737 0.6693  6 Co 2.93-2.97
La 0.5737 0.9043 0.0000  6 Co 2.93-2.97
La 0.9043 0.5737 0.0000  6 Co 2.93-2.97
La 0.5000 0.7491 0.2491  6 Co 2.88-2.97
La 0.5000 0.2509 0.7509  6 Co 2.88-2.97
La 0.2509 0.5000 0.7509  6 Co 2.88-2.97
La 0.7491 0.5000 0.2491  6 Co 2.88-2.97
In 0.5000 0.5000 0.0000  2 In 3.21, 4 La 3.58
In 0.1637 0.1637 0.0000  2 In 3.12-3.21, 4 La 3.48
In 0.8363 0.8363 0.0000  2 In 3.12-3.21, 4 La 3.48
Co 0.4751 0.9788 0.2048  5 Co 2.38-2.47
Co 0.7740 0.2702 0.7952  5 Co 2.38-2.47
Co 0.7740 0.9788 0.5037  5 Co 2.38-2.47
Co 0.4751 0.2702 0.4963  5 Co 2.38-2.47
Co 0.2702 0.4751 0.4963  5 Co 2.38-2.47
Co 0.9788 0.7740 0.5037  5 Co 2.38-2.47
Co 0.9788 0.4751 0.2048  5 Co 2.38-2.47
Co 0.2702 0.7740 0.7952  5 Co 2.38-2.47
Co 0.5249 0.0212 0.7952  5 Co 2.38-2.47
Co 0.2260 0.7298 0.2048  5 Co 2.38-2.47
Co 0.2260 0.0212 0.4963  5 Co 2.38-2.47
Co 0.5249 0.7298 0.5037  5 Co 2.38-2.47
Co 0.7298 0.5249 0.5037  5 Co 2.38-2.47
Co 0.0212 0.2260 0.4963  5 Co 2.38-2.47
Co 0.0212 0.5249 0.7952  5 Co 2.38-2.47
Co 0.7298 0.2260 0.2048  5 Co 2.38-2.47
Co 0.3770 0.7495 0.6276  6 Co 2.43-2.59
Co 0.1219 0.7495 0.3724  6 Co 2.43-2.59
Co 0.7495 0.3770 0.6276  6 Co 2.43-2.59
Co 0.7495 0.1219 0.3724  6 Co 2.43-2.59
Co 0.6230 0.2505 0.3724  6 Co 2.43-2.59
Co 0.8781 0.2505 0.6276  6 Co 2.43-2.59
Co 0.2505 0.6230 0.3724  6 Co 2.43-2.59
Co 0.2505 0.8781 0.6276  6 Co 2.43-2.59
Co 0.7556 0.7556 0.5111  4 Co 2.40
Co 0.2444 0.2444 0.4889  4 Co 2.40
Co 0.2444 0.7556 0.0000  4 Co 2.40
Co 0.7556 0.2444 0.0000  4 Co 2.40

The value obtained for the formation energy is -0.147 eV/atom. The calculated volume is 984.0 Å³ per cell. As for the total energy: -6.1906 eV/atom. The space group is I4/mmm, No. 139.

=====

Question: Number 6 is which compound?
Answer: La18In3Co28

=====

Question: Number 4 is which compound?
Answer: Si2O5